Below is a relaxed structure of CoHO2, with properties calculated at the PBE+U level.

a = 2.8827 Å, b = 2.8827 Å, c = 13.0397 Å
α = 90.00°, β = 90.00°, γ = 120.00°
Space group R-3m (No. 166, hexagonal axes)
Inequivalent atoms, fractional coordinates:
Co 0.0000 0.0000 0.0000
H 0.0000 0.0000 0.5000
O 0.0000 0.0000 0.4073

---

Below is a relaxed structure of MgFe8O8F8, with properties calculated at the PBE+U level.

Summary:
ΔE to the lowest computed polymorph: 25 meV/atom
size of the total moment: 0.00 μB per cell

a = 9.807 Å, b = 3.106 Å, c = 9.819 Å
α = 90.00°, β = 93.51°, γ = 90.00°
Space group Pm (No. 6)
Inequivalent atoms, fractional coordinates:
Mg 0.000 0.000 0.000
Fe 0.012 0.500 0.723
Fe 0.274 0.000 0.036
Fe 0.284 0.000 0.509
Fe 0.490 0.500 0.284
Fe 0.511 0.500 0.745
Fe 0.703 0.000 0.079
Fe 0.718 0.000 0.519
Fe 0.984 0.500 0.274
O 0.139 0.500 0.071
O 0.359 0.500 0.427
O 0.390 0.000 0.187
O 0.409 0.000 0.680
O 0.599 0.000 0.364
O 0.616 0.500 0.125
O 0.655 0.500 0.622
O 0.885 0.000 0.156
F 0.106 0.000 0.368
F 0.114 0.000 0.834
F 0.168 0.500 0.595
F 0.364 0.500 0.927
F 0.617 0.000 0.877
F 0.842 0.500 0.427
F 0.898 0.500 0.905
F 0.899 0.000 0.643

---

Below is a relaxed structure of Ba2Ni7F18, with properties calculated at the PBE+U level.

Summary:
size of the total moment: 14.00 μB per cell

a = 7.004 Å, b = 7.312 Å, c = 7.555 Å
α = 94.44°, β = 93.10°, γ = 115.77°
Space group P-1 (No. 2)
Inequivalent atoms, fractional coordinates:
Ba 0.186 0.306 0.366
Ni 0.106 0.722 0.118
Ni 0.310 0.125 0.818
Ni 0.319 0.616 0.805
Ni 0.500 0.000 0.500
F 0.004 0.078 0.817
F 0.021 0.441 0.679
F 0.181 0.488 0.026
F 0.206 0.826 0.881
F 0.218 0.993 0.559
F 0.392 0.230 0.073
F 0.400 0.395 0.719
F 0.402 0.872 0.242
F 0.422 0.719 0.575

---

Below is a relaxed structure of LiCo2P3O12, with properties calculated at the PBE+U level.

Summary:
ΔE to the lowest computed polymorph: 0 meV/atom
size of the total moment: 40.00 μB per cell

a = 8.580 Å, b = 8.750 Å, c = 12.128 Å
α = 90.00°, β = 90.15°, γ = 90.00°
Space group P2_1 (No. 4)
Inequivalent atoms, fractional coordinates:
Li 0.020 0.000 0.430
Li 0.043 0.052 0.067
Co 0.000 0.236 0.863
Co 0.004 0.821 0.634
Co 0.497 0.813 0.368
Co 0.498 0.743 0.871
P 0.142 0.381 0.104
P 0.145 0.672 0.396
P 0.215 0.528 0.751
P 0.288 0.031 0.747
P 0.354 0.166 0.399
P 0.354 0.886 0.105
O 0.060 0.789 0.472
O 0.073 0.335 0.216
O 0.085 0.541 0.068
O 0.089 0.260 0.019
O 0.090 0.447 0.822
O 0.099 0.507 0.431
O 0.104 0.703 0.276
O 0.126 0.627 0.666
O 0.173 0.164 0.394
O 0.176 0.866 0.087
O 0.187 0.940 0.663
O 0.188 0.142 0.816
O 0.313 0.412 0.686
O 0.316 0.625 0.831
O 0.322 0.377 0.113
O 0.322 0.695 0.417
O 0.368 0.921 0.828
O 0.391 0.056 0.083
O 0.398 0.850 0.226
O 0.402 0.281 0.489
O 0.413 0.116 0.681
O 0.414 0.004 0.426
O 0.424 0.218 0.289
O 0.444 0.779 0.027

---

Below is a relaxed structure of MgTi2Pb4WO12, with properties calculated at the PBE+U level.

Summary:
size of the total moment: 0.00 μB per cell

a = 5.671 Å, b = 5.671 Å, c = 16.135 Å
α = 90.00°, β = 90.00°, γ = 90.00°
Space group I4/mmm (No. 139)
Inequivalent atoms, fractional coordinates:
Mg 0.000 0.000 0.000
Ti 0.000 0.000 0.243
Pb 0.000 0.500 0.127
W 0.000 0.000 0.500
O 0.000 0.000 0.130
O 0.000 0.000 0.377
O 0.242 0.242 0.500
O 0.250 0.250 0.250

---

Below is a relaxed structure of Li9Mn2Co5O16, with properties calculated at the PBE+U level.

Summary:
ΔE to the lowest computed polymorph: 78 meV/atom
size of the total moment: 20.04 μB per cell

a = 19.461 Å, b = 2.888 Å, c = 10.328 Å
α = 90.00°, β = 96.17°, γ = 90.00°
Space group Cm (No. 8)
Inequivalent atoms, fractional coordinates:
Li 0.000 0.000 0.000
Li 0.000 0.000 0.494
Li 0.255 0.000 0.377
Li 0.255 0.500 0.131
Li 0.258 0.000 0.872
Li 0.260 0.500 0.616
Li 0.376 0.000 0.564
Li 0.497 0.000 0.251
Li 0.499 0.000 0.754
Mn 0.127 0.000 0.682
Mn 0.129 0.500 0.941
Co 0.127 0.000 0.191
Co 0.128 0.500 0.433
Co 0.373 0.500 0.330
Co 0.379 0.500 0.804
Co 0.381 0.000 0.063
O 0.068 0.500 0.603
O 0.072 0.000 0.353
O 0.072 0.000 0.859
O 0.074 0.500 0.103
O 0.183 0.000 0.517
O 0.183 0.500 0.270
O 0.183 0.500 0.772
O 0.187 0.000 0.021
O 0.316 0.500 0.457
O 0.319 0.000 0.727
O 0.323 0.000 0.215
O 0.326 0.500 0.958
O 0.433 0.500 0.681
O 0.435 0.000 0.904
O 0.436 0.000 0.399
O 0.437 0.500 0.148

---

Below is a relaxed structure of CoPO4, with properties calculated at the PBE+U level.

Summary:
size of the total moment: 48.00 μB per cell

a = 8.949 Å, b = 8.279 Å, c = 17.780 Å
α = 90.00°, β = 119.67°, γ = 90.00°
Space group P2_1/c (No. 14)
Inequivalent atoms, fractional coordinates:
Co 0.033 0.162 0.093
Co 0.320 0.165 0.427
Co 0.348 0.661 0.265
P 0.036 0.725 0.593
P 0.312 0.722 0.923
P 0.345 0.221 0.770
O 0.045 0.231 0.505
O 0.105 0.240 0.881
O 0.110 0.552 0.609
O 0.153 0.241 0.701
O 0.184 0.656 0.147
O 0.201 0.659 0.442
O 0.260 0.731 0.826
O 0.286 0.550 0.948
O 0.377 0.049 0.808
O 0.393 0.158 0.345
O 0.455 0.249 0.226
O 0.496 0.227 0.021

---

Below is a relaxed structure of LiMg14FeO16, with properties calculated at the PBE+U level.

Summary:
ΔE to the lowest computed polymorph: 7 meV/atom
size of the total moment: 5.00 μB per cell

a = 8.516 Å, b = 8.516 Å, c = 4.249 Å
α = 90.00°, β = 90.00°, γ = 90.00°
Space group P4/mmm (No. 123)
Inequivalent atoms, fractional coordinates:
Li 0.000 0.000 0.000
Mg 0.000 0.242 0.500
Mg 0.000 0.500 0.000
Mg 0.243 0.243 0.000
Mg 0.245 0.500 0.500
Fe 0.500 0.500 0.000
O 0.000 0.000 0.500
O 0.000 0.260 0.000
O 0.000 0.500 0.500
O 0.252 0.252 0.500
O 0.260 0.500 0.000
O 0.500 0.500 0.500

---

Listing energy of formation from the pure elements for the structures above in their given order: -1.31; -2.11; -2.74; -2.06; -2.41; -1.79; -2.09; -2.90 eV per atom.
Listing V for the structures above in their given order: 7.82; 11.94; 12.81; 12.65; 12.97; 9.02; 15.90; 9.63 Å³ per atom.
Listing calculated density for the structures above in their given order: 4.9; 4.2; 4.9; 3.0; 8.5; 4.2; 2.7; 3.6 g cm⁻³.